This record from the Materials Project database describes a geometry-optimized Na3Ga4P3S3O24 structure. The functional is GGA-PBE.

Results
uncorrected energy = -6.26 eV per atom
size of the total moment = 0.00 μB per formula unit
formation energy from the elements = -2288 meV per atom

Geometry as CIF:
```
data_Na3Ga4P3S3O24
_cell_length_a 8.5694
_cell_length_b 8.5752
_cell_length_c 22.1559
_cell_angle_alpha 90.92
_cell_angle_beta 90.14
_cell_angle_gamma 119.96
_space_group_name_H-M_alt 'P 1'
_space_group_IT_number 1
loop_
_space_group_symop_operation_xyz
'x,y,z'
loop_
_atom_site_label
_atom_site_type_symbol
_atom_site_fract_x
_atom_site_fract_y
_atom_site_fract_z
Na1 Na 0.0000 0.0000 0.0000
Na2 Na 0.0012 0.0000 0.5002
Na3 Na 0.3214 0.6500 0.6657
Na4 Na 0.3305 0.6604 0.1663
Na5 Na 0.6353 0.9935 0.7506
Na6 Na 0.6611 0.3206 0.3323
Na7 Na 0.6639 0.3270 0.8329
Na8 Na 0.6925 0.6605 0.9163
Na9 Na 0.9688 0.6604 0.4163
Ga1 Ga 0.0054 0.9995 0.3508
Ga2 Ga 0.3148 0.6575 0.5171
Ga3 Ga 0.3173 0.6625 0.3154
Ga4 Ga 0.3333 0.6487 0.8152
Ga5 Ga 0.3428 0.6581 0.0172
Ga6 Ga 0.6559 0.3213 0.9817
Ga7 Ga 0.6660 0.3226 0.4815
Ga8 Ga 0.6701 0.3419 0.1841
Ga9 Ga 0.6812 0.3469 0.6843
Ga10 Ga 0.9908 0.9789 0.1484
Ga11 Ga 0.9917 0.9874 0.6488
Ga12 Ga 0.9935 0.0053 0.8505
P1 P 0.0011 0.2868 0.7483
P2 P 0.0406 0.3652 0.4157
P3 P 0.3257 0.3646 0.9165
P4 P 0.3360 0.9554 0.4166
P5 P 0.6188 0.9542 0.9162
P6 P 0.6635 0.6173 0.0827
P7 P 0.7083 0.7019 0.7501
P8 P 0.9555 0.6203 0.5823
P9 P 0.9975 0.7036 0.2498
S1 S 0.0446 0.6612 0.9167
S2 S 0.2857 0.9937 0.7495
S3 S 0.2878 0.2845 0.2488
S4 S 0.3732 0.0363 0.0836
S5 S 0.3738 0.3273 0.5829
S6 S 0.6157 0.6605 0.4162
S7 S 0.6629 0.0348 0.5831
S8 S 0.7055 0.9936 0.2495
S9 S 0.9553 0.3271 0.0830
O1 O 0.0177 0.1763 0.4077
O2 O 0.0209 0.8214 0.9107
O3 O 0.0330 0.8213 0.1942
O4 O 0.0338 0.2013 0.6917
O5 O 0.1192 0.4870 0.3603
O6 O 0.1208 0.6283 0.8613
O7 O 0.1340 0.4919 0.0767
O8 O 0.1442 0.6381 0.5768
O9 O 0.1542 0.6933 0.9719
O10 O 0.1578 0.4466 0.4729
O11 O 0.1605 0.1758 0.9086
O12 O 0.1605 0.9670 0.4095
O13 O 0.1658 0.4761 0.7566
O14 O 0.1672 0.6839 0.2554
O15 O 0.1733 0.2043 0.1940
O16 O 0.1762 0.9603 0.6944
O17 O 0.1934 0.0218 0.0897
O18 O 0.1928 0.1651 0.5889
O19 O 0.2089 0.0271 0.8045
O20 O 0.2107 0.1751 0.3034
O21 O 0.2900 0.4471 0.9731
O22 O 0.2930 0.8336 0.4721
O23 O 0.3078 0.8326 0.7554
O24 O 0.3088 0.4666 0.2562
O25 O 0.3522 0.8542 0.0762
O26 O 0.3595 0.4923 0.5768
O27 O 0.3712 0.4868 0.8611
O28 O 0.3712 0.8739 0.3596
O29 O 0.4504 0.1456 0.0290
O30 O 0.4524 0.2932 0.5280
O31 O 0.4676 0.2989 0.2427
O32 O 0.4698 0.1542 0.7430
O33 O 0.4852 0.3578 0.6382
O34 O 0.4877 0.1165 0.1384
O35 O 0.4938 0.6371 0.0770
O36 O 0.5015 0.8532 0.5760
O37 O 0.5018 0.1444 0.4246
O38 O 0.5015 0.3535 0.9233
O39 O 0.5047 0.8728 0.8575
O40 O 0.5062 0.6276 0.3608
O41 O 0.5211 0.6898 0.7559
O42 O 0.5268 0.8288 0.2557
O43 O 0.5384 0.8323 0.9713
O44 O 0.5393 0.6933 0.4715
O45 O 0.6279 0.4995 0.1382
O46 O 0.6289 0.1129 0.6390
O47 O 0.6395 0.4996 0.4217
O48 O 0.6419 0.1432 0.9242
O49 O 0.6842 0.5123 0.7434
O50 O 0.6860 0.1557 0.2425
O51 O 0.6944 0.1464 0.5294
O52 O 0.6991 0.5365 0.0244
O53 O 0.7854 0.9622 0.1944
O54 O 0.7876 0.8232 0.6948
O55 O 0.8003 0.8211 0.4107
O56 O 0.8056 0.9652 0.9101
O57 O 0.8193 0.0290 0.3043
O58 O 0.8238 0.2967 0.7419
O59 O 0.8237 0.7831 0.8084
O60 O 0.8274 0.0198 0.5889
O61 O 0.8272 0.5137 0.2433
O62 O 0.8338 0.8072 0.0892
O63 O 0.8387 0.5381 0.5241
O64 O 0.8414 0.2916 0.0280
O65 O 0.8537 0.3537 0.4229
O66 O 0.8602 0.4995 0.9220
O67 O 0.8743 0.5019 0.6377
O68 O 0.8755 0.3586 0.1380
O69 O 0.9568 0.1670 0.8043
O70 O 0.9618 0.7844 0.3081
O71 O 0.9740 0.8091 0.5899
O72 O 0.9748 0.1651 0.0899
```

---

This record from the Materials Project database describes a geometry-optimized SmZnAg2 structure. The functional is GGA-PBE.

Results
uncorrected energy = -3.13 eV per atom
size of the total moment = 0.03 μB per formula unit
formation energy from the elements = -224 meV per atom

Geometry as CIF:
```
data_SmZnAg2
_cell_length_a 6.9626
_cell_length_b 6.9626
_cell_length_c 6.9626
_cell_angle_alpha 90.00
_cell_angle_beta 90.00
_cell_angle_gamma 90.00
_space_group_name_H-M_alt 'F m -3 m'
_space_group_IT_number 225
_space_group_name_Hall '-F 4 2 3'
loop_
_atom_site_label
_atom_site_type_symbol
_atom_site_fract_x
_atom_site_fract_y
_atom_site_fract_z
Sm1 Sm 0.0000 0.0000 0.0000
Zn1 Zn 0.0000 0.0000 0.5000
Ag1 Ag 0.2500 0.2500 0.2500
```

---

This record from the Materials Project database describes a geometry-optimized Ba3SbAs structure. The functional is GGA-PBE.

Results
uncorrected energy = -3.73 eV per atom
size of the total moment = 0.00 μB per formula unit
formation energy from the elements = -819 meV per atom

Geometry as CIF:
```
data_Ba3SbAs
_cell_length_a 6.2178
_cell_length_b 6.2178
_cell_length_c 6.2178
_cell_angle_alpha 90.00
_cell_angle_beta 90.00
_cell_angle_gamma 90.00
_space_group_name_H-M_alt 'P m -3 m'
_space_group_IT_number 221
_space_group_name_Hall '-P 4 2 3'
loop_
_atom_site_label
_atom_site_type_symbol
_atom_site_fract_x
_atom_site_fract_y
_atom_site_fract_z
Ba1 Ba 0.0000 0.0000 0.5000
Sb1 Sb 0.5000 0.5000 0.5000
As1 As 0.0000 0.0000 0.0000
```

---

This record from the Materials Project database describes a geometry-optimized MgU2Si2O16 structure. The functional is GGA-PBE.

Results
uncorrected energy = -7.00 eV per atom
size of the total moment = 10.00 μB per formula unit
formation energy from the elements = -2089 meV per atom

Geometry as CIF:
```
data_MgU2Si2O16
_cell_length_a 17.0615
_cell_length_b 7.1022
_cell_length_c 6.7920
_cell_angle_alpha 90.00
_cell_angle_beta 106.32
_cell_angle_gamma 90.00
_space_group_name_H-M_alt 'C 1 2/m 1'
_space_group_IT_number 12
loop_
_space_group_symop_operation_xyz
'x,y,z'
'-x,-y,-z'
'-x,y,-z'
'x,-y,z'
'x+1/2,y+1/2,z'
'-x+1/2,-y+1/2,-z'
'-x+1/2,y+1/2,-z'
'x+1/2,-y+1/2,z'
loop_
_atom_site_label
_atom_site_type_symbol
_atom_site_fract_x
_atom_site_fract_y
_atom_site_fract_z
Mg1 Mg 0.0000 0.0000 0.0000
U1 U 0.2418 0.5000 0.3523
Si1 Si 0.2163 0.0000 0.1488
O1 O 0.0225 0.2036 0.2263
O2 O 0.1183 0.0000 0.0364
O3 O 0.1327 0.5000 0.3202
O4 O 0.1476 0.0000 0.5813
O5 O 0.2356 0.5000 0.0273
O6 O 0.2400 0.1778 0.3101
```

---

This record from the Materials Project database describes a geometry-optimized InSn2PH24C8 structure. The functional is GGA-PBE.

Results
uncorrected energy = -4.85 eV per atom
size of the total moment = 0.02 μB per formula unit
formation energy from the elements = -91 meV per atom

Geometry as CIF:
```
data_InSn2PH24C8
_cell_length_a 13.3757
_cell_length_b 13.5908
_cell_length_c 20.8180
_cell_angle_alpha 107.35
_cell_angle_beta 91.71
_cell_angle_gamma 119.12
_space_group_name_H-M_alt 'P -1'
_space_group_IT_number 2
loop_
_space_group_symop_operation_xyz
'x,y,z'
'-x,-y,-z'
loop_
_atom_site_label
_atom_site_type_symbol
_atom_site_fract_x
_atom_site_fract_y
_atom_site_fract_z
In1 In 0.0675 0.0272 0.2648
In2 In 0.0875 0.4038 0.8085
In3 In 0.2954 0.8553 0.2939
Sn1 Sn 0.0129 0.6851 0.4083
Sn2 Sn 0.1018 0.2363 0.9416
Sn3 Sn 0.1030 0.4839 0.2738
Sn4 Sn 0.2887 0.2276 0.8011
Sn5 Sn 0.3525 0.1818 0.4398
Sn6 Sn 0.4319 0.1826 0.2606
P1 P 0.0859 0.6708 0.2959
P2 P 0.0887 0.2065 0.8132
P3 P 0.2706 0.0474 0.3118
H1 H 0.0190 0.9811 0.6150
H2 H 0.0205 0.5484 0.8960
H3 H 0.0232 0.1230 0.1748
H4 H 0.0239 0.8969 0.4247
H5 H 0.0524 0.7568 0.7959
H6 H 0.0553 0.1708 0.3872
H7 H 0.0571 0.7970 0.9764
H8 H 0.0627 0.5997 0.1015
H9 H 0.0735 0.4470 0.3968
H10 H 0.0827 0.6716 0.8358
H11 H 0.0840 0.5008 0.9465
H12 H 0.0849 0.1832 0.5327
H13 H 0.0887 0.9337 0.6625
H14 H 0.1001 0.7616 0.0445
H15 H 0.1024 0.0352 0.9422
H16 H 0.1067 0.7508 0.5431
H17 H 0.1077 0.5553 0.6087
H18 H 0.1169 0.2262 0.6245
H19 H 0.1292 0.9112 0.0598
H20 H 0.1301 0.6861 0.7579
H21 H 0.1398 0.0993 0.1540
H22 H 0.1510 0.3797 0.3546
H23 H 0.1684 0.1492 0.0262
H24 H 0.1676 0.2280 0.2252
H25 H 0.1682 0.4810 0.5526
H26 H 0.1708 0.6766 0.4899
H27 H 0.1818 0.0306 0.4917
H28 H 0.1954 0.4802 0.9907
H29 H 0.2042 0.5192 0.6436
H30 H 0.2161 0.9886 0.7462
H31 H 0.2203 0.8311 0.5034
H32 H 0.2220 0.2898 0.4587
H33 H 0.2265 0.5390 0.4000
H34 H 0.2271 0.5127 0.1719
H35 H 0.2287 0.4371 0.0575
H36 H 0.2466 0.7875 0.1513
H37 H 0.2499 0.4211 0.2099
H38 H 0.2509 0.1573 0.9601
H39 H 0.2547 0.0368 0.8378
H40 H 0.2650 0.6035 0.7870
H41 H 0.2740 0.1939 0.6638
H42 H 0.2779 0.4759 0.7452
H43 H 0.2967 0.9981 0.4857
H44 H 0.3076 0.1414 0.1384
H45 H 0.3119 0.4508 0.9917
H46 H 0.3149 0.1243 0.5551
H47 H 0.3254 0.7234 0.1735
H48 H 0.3264 0.5814 0.2530
H49 H 0.3289 0.5532 0.8361
H50 H 0.3461 0.7729 0.7436
H51 H 0.3503 0.3758 0.5258
H52 H 0.3542 0.3528 0.7130
H53 H 0.3596 0.0389 0.1244
H54 H 0.3599 0.3885 0.4428
H55 H 0.3663 0.0715 0.7884
H56 H 0.3842 0.8058 0.6677
H57 H 0.3960 0.3715 0.2988
H58 H 0.4011 0.8781 0.1823
H59 H 0.4039 0.9184 0.4285
H60 H 0.4108 0.3595 0.9357
H61 H 0.4148 0.6706 0.5588
H62 H 0.4235 0.2671 0.7062
H63 H 0.4308 0.6829 0.4764
H64 H 0.4349 0.8024 0.5446
H65 H 0.4371 0.8171 0.3710
H66 H 0.4413 0.4588 0.8888
H67 H 0.4407 0.9253 0.7499
H68 H 0.4558 0.5737 0.7111
H69 H 0.4572 0.1929 0.1337
H70 H 0.4866 0.0282 0.6201
H71 H 0.4891 0.6270 0.1206
H72 H 0.4964 0.6026 0.6347
C1 C 0.0049 0.9239 0.6455
C2 C 0.0249 0.4707 0.8981
C3 C 0.0490 0.1917 0.5793
C4 C 0.0607 0.6773 0.7865
C5 C 0.0672 0.8148 0.0318
C6 C 0.1042 0.1320 0.1965
C7 C 0.1348 0.4889 0.6002
C8 C 0.1433 0.4599 0.3679
C9 C 0.1440 0.7429 0.4969
C10 C 0.1635 0.1316 0.9709
C11 C 0.2247 0.4241 0.0029
C12 C 0.2439 0.5020 0.2205
C13 C 0.2608 0.5234 0.7920
C14 C 0.2768 0.0700 0.5005
C15 C 0.2803 0.0607 0.7926
C16 C 0.3166 0.3267 0.4702
C17 C 0.3195 0.8047 0.1874
C18 C 0.3410 0.2650 0.7096
C19 C 0.3821 0.1322 0.1507
C20 C 0.4159 0.8316 0.7227
C21 C 0.4281 0.8958 0.3786
C22 C 0.4298 0.3723 0.8870
C23 C 0.4589 0.7333 0.5320
C24 C 0.4742 0.3673 0.3097
```

---

This record from the Materials Project database describes a geometry-optimized CdPt3 structure. The functional is GGA-PBE.

Results
uncorrected energy = -4.96 eV per atom
formation energy from the elements = -179 meV per atom

Geometry as CIF:
```
data_CdPt3
_cell_length_a 5.8053
_cell_length_b 7.9284
_cell_length_c 2.8805
_cell_angle_alpha 90.00
_cell_angle_beta 90.00
_cell_angle_gamma 90.00
_space_group_name_H-M_alt 'C m m m'
_space_group_IT_number 65
_space_group_name_Hall '-C 2 2'
loop_
_atom_site_label
_atom_site_type_symbol
_atom_site_fract_x
_atom_site_fract_y
_atom_site_fract_z
Cd1 Cd 0.0000 0.0000 0.0000
Pt1 Pt 0.0000 0.5000 0.0000
Pt2 Pt 0.2500 0.2500 0.5000
```

---

Q: The highest uncorrected energy belongs to which entry?
A: SmZnAg2